Material: SiO2
Method: DFT, PBE
State: optimized geometry

Calculated values
The volume comes out at 22.5 Å³/atom. As for the calculated formation energy: -3253 meV/atom.

Cell lengths 18.582, 18.582, 9.392 Å; angles 90.00, 90.00, 90.00 degrees
Positions (direct):
O 0.758 0.258 0.672
O 0.500 0.331 0.117
O 0.257 0.384 0.283
O 0.170 0.170 0.500
O 0.384 0.257 0.717
O 0.760 0.594 0.004
O 0.118 0.118 0.000
O 0.806 0.876 0.239
O 0.616 0.257 0.717
O 0.594 0.760 0.996
O 0.882 0.882 0.000
O 0.257 0.616 0.283
O 0.169 0.000 0.117
O 0.882 0.118 0.000
O 0.188 0.500 0.195
O 0.127 0.627 0.161
O 0.873 0.373 0.161
O 0.743 0.384 0.283
O 0.670 0.670 0.500
O 0.740 0.094 0.996
O 0.742 0.242 0.328
O 0.382 0.382 0.000
O 0.330 0.670 0.500
O 0.757 0.116 0.717
O 0.760 0.406 0.004
O 0.624 0.306 0.239
O 0.330 0.330 0.500
O 0.884 0.243 0.283
O 0.384 0.743 0.717
O 0.873 0.627 0.161
O 0.306 0.376 0.761
O 0.618 0.382 0.000
O 0.194 0.876 0.239
O 0.812 0.500 0.195
O 0.000 0.831 0.883
O 0.906 0.260 0.004
O 0.373 0.127 0.839
O 0.116 0.757 0.283
O 0.618 0.618 0.000
O 0.624 0.694 0.239
O 0.500 0.188 0.805
O 0.240 0.406 0.004
O 0.382 0.618 0.000
O 0.000 0.312 0.195
O 0.616 0.743 0.717
O 0.194 0.124 0.239
O 0.500 0.812 0.805
O 0.331 0.500 0.883
O 0.694 0.624 0.761
O 0.906 0.740 0.004
O 0.124 0.806 0.761
O 0.743 0.616 0.283
O 0.757 0.884 0.717
O 0.373 0.873 0.839
O 0.694 0.376 0.761
O 0.170 0.830 0.500
O 0.376 0.694 0.239
O 0.242 0.258 0.672
O 0.688 0.000 0.805
O 0.243 0.116 0.717
O 0.094 0.740 0.004
O 0.260 0.906 0.996
O 0.500 0.669 0.117
O 0.758 0.742 0.672
O 0.094 0.260 0.004
O 0.594 0.240 0.996
O 0.406 0.240 0.996
O 0.124 0.194 0.761
O 0.669 0.500 0.883
O 0.258 0.758 0.328
O 0.127 0.373 0.161
O 0.306 0.624 0.761
O 0.806 0.124 0.239
O 0.830 0.830 0.500
O 0.406 0.760 0.996
O 0.260 0.094 0.996
O 0.884 0.757 0.283
O 0.670 0.330 0.500
O 0.627 0.873 0.839
O 0.118 0.882 0.000
O 0.312 0.000 0.805
O 0.000 0.688 0.195
O 0.243 0.884 0.717
O 0.830 0.170 0.500
O 0.000 0.169 0.883
O 0.627 0.127 0.839
O 0.740 0.906 0.996
O 0.831 0.000 0.117
O 0.742 0.758 0.328
O 0.876 0.194 0.761
O 0.258 0.242 0.328
O 0.876 0.806 0.761
O 0.376 0.306 0.239
O 0.242 0.742 0.672
O 0.240 0.594 0.004
O 0.116 0.243 0.283
Si 0.195 0.184 0.663
Si 0.684 0.695 0.663
Si 0.084 0.185 0.913
Si 0.416 0.797 0.839
Si 0.084 0.815 0.913
Si 0.184 0.195 0.337
Si 0.203 0.584 0.161
Si 0.816 0.195 0.337
Si 0.185 0.084 0.087
Si 0.816 0.805 0.337
Si 0.416 0.203 0.839
Si 0.815 0.084 0.087
Si 0.315 0.584 0.913
Si 0.797 0.584 0.161
Si 0.297 0.916 0.839
Si 0.805 0.184 0.663
Si 0.685 0.416 0.913
Si 0.703 0.084 0.839
Si 0.305 0.684 0.337
Si 0.916 0.703 0.161
Si 0.203 0.416 0.161
Si 0.584 0.797 0.839
Si 0.815 0.916 0.087
Si 0.695 0.316 0.337
Si 0.703 0.916 0.839
Si 0.195 0.816 0.663
Si 0.184 0.805 0.337
Si 0.584 0.685 0.087
Si 0.316 0.695 0.663
Si 0.684 0.305 0.663
Si 0.805 0.816 0.663
Si 0.185 0.916 0.087
Si 0.416 0.685 0.087
Si 0.695 0.684 0.337
Si 0.797 0.416 0.161
Si 0.685 0.584 0.913
Si 0.315 0.416 0.913
Si 0.584 0.315 0.087
Si 0.297 0.084 0.839
Si 0.916 0.815 0.913
Si 0.084 0.703 0.161
Si 0.916 0.297 0.161
Si 0.416 0.315 0.087
Si 0.916 0.185 0.913
Si 0.316 0.305 0.663
Si 0.305 0.316 0.337
Si 0.584 0.203 0.839
Si 0.084 0.297 0.161

=====

Material: BaH2O4
Method: DFT, PBE
State: optimized geometry

Calculated values
The volume comes out at 12.1 Å³/atom. As for the calculated formation energy: -1431 meV/atom.

Cell lengths 9.565, 4.193, 8.549 Å; angles 81.62, 90.00, 90.00 degrees
Positions (direct):
H 0.071 0.793 0.373
H 0.896 0.044 0.152
H 0.104 0.956 0.848
H 0.429 0.793 0.873
H 0.571 0.207 0.127
H 0.396 0.956 0.348
H 0.929 0.207 0.627
H 0.604 0.044 0.652
O 0.998 0.663 0.313
O 0.192 0.950 0.432
O 0.699 0.203 0.659
O 0.808 0.050 0.568
O 0.497 0.845 0.649
O 0.003 0.845 0.149
O 0.308 0.950 0.932
O 0.801 0.203 0.159
O 0.002 0.337 0.687
O 0.199 0.797 0.841
O 0.502 0.663 0.813
O 0.498 0.337 0.187
O 0.503 0.155 0.351
O 0.997 0.155 0.851
O 0.692 0.050 0.068
O 0.301 0.797 0.341
Ba 0.296 0.373 0.630
Ba 0.204 0.373 0.130
Ba 0.704 0.627 0.370
Ba 0.796 0.627 0.870

=====

Material: Rb4SnS4O4
Method: DFT, PBE
State: optimized geometry

Calculated values
The volume comes out at 30.4 Å³/atom. As for the calculated formation energy: -1251 meV/atom.

Cell lengths 7.248, 8.357, 13.541 Å; angles 102.44, 97.04, 94.86 degrees
Positions (direct):
Rb 0.849 0.927 0.788
Rb 0.668 0.497 0.900
Rb 0.024 0.446 0.675
Rb 0.654 0.815 0.476
Rb 0.151 0.073 0.212
Rb 0.332 0.503 0.100
Rb 0.346 0.185 0.524
Rb 0.976 0.554 0.325
S 0.516 0.863 0.254
S 0.516 0.623 0.652
S 0.912 0.193 0.419
S 0.484 0.137 0.746
S 0.769 0.211 0.078
S 0.088 0.807 0.581
S 0.231 0.789 0.922
S 0.484 0.377 0.348
O 0.406 0.716 0.955
O 0.323 0.255 0.735
O 0.060 0.660 0.897
O 0.298 0.397 0.276
O 0.594 0.284 0.045
O 0.677 0.745 0.265
O 0.702 0.603 0.724
O 0.940 0.340 0.103
Sn 0.677 0.155 0.272
Sn 0.323 0.845 0.728

=====

Material: GdHoAl6
Method: DFT, PBE
State: optimized geometry

Calculated values
The volume comes out at 19.6 Å³/atom. As for the calculated formation energy: -427 meV/atom.

Cell lengths 6.277, 6.277, 4.595 Å; angles 90.00, 90.00, 120.00 degrees
Positions (direct):
Al 0.520 0.480 0.000
Al 0.520 0.040 0.000
Al 0.814 0.628 0.500
Al 0.814 0.186 0.500
Al 0.372 0.186 0.500
Al 0.960 0.480 0.000
Ho 0.000 0.000 0.000
Gd 0.333 0.667 0.500